1.
VASP calculation (GGA-PBE) on a relaxed Ba2NdNbCu2O8 crystal.

Calculated values
space group: P4/mmm (123)
total magnetic moment: 0.001 μB per formula unit
crystal system: tetragonal
ΔE_f: -3613 kJ/mol of formula units

Cell lengths 4.0021, 4.0021, 12.1931 Å; angles 90.00, 90.00, 90.00 degrees
With the nearest neighbours (Å) after each atom.
Positions (direct):
Ba: 0.0000 0.0000 0.1959  12 O 2.86-3.12
Ba: 0.0000 0.0000 0.8041  12 O 2.86-3.12
Nd: 0.0000 0.0000 0.5000  8 O 2.51
Nb: 0.5000 0.5000 0.0000  6 O 2.00
Cu: 0.5000 0.5000 0.3609  4 O 2.01
Cu: 0.5000 0.5000 0.6391  4 O 2.01
O: 0.0000 0.5000 0.0000  2 Nb 2.00
O: 0.0000 0.5000 0.3754  2 Cu 2.01
O: 0.0000 0.5000 0.6246  2 Cu 2.01
O: 0.5000 0.0000 0.0000  2 Nb 2.00
O: 0.5000 0.0000 0.3754  2 Cu 2.01
O: 0.5000 0.0000 0.6246  2 Cu 2.01
O: 0.5000 0.5000 0.1639  1 Nb 2.00
O: 0.5000 0.5000 0.8361  1 Nb 2.00


2.
VASP calculation (GGA-PBE) on a relaxed Ba2PrNbCu2O8 crystal.

Calculated values
space group: I4/mcm (140)
total magnetic moment: 0.460 μB per formula unit
crystal system: tetragonal
ΔE_f: -3628 kJ/mol of formula units

Cell lengths 12.8914, 12.8914, 12.8914 Å; angles 154.67, 154.67, 36.12 degrees
With the nearest neighbours (Å) after each atom.
Positions (direct):
Ba: 0.0985 0.5985 0.5000  10 O 2.86-2.95
Ba: 0.4015 0.9015 0.5000  10 O 2.86-2.95
Ba: 0.5985 0.0985 0.5000  10 O 2.86-2.95
Ba: 0.9015 0.4015 0.5000  10 O 2.86-2.95
Pr: 0.2500 0.7500 0.5000  8 O 2.52-2.54
Pr: 0.7500 0.2500 0.5000  8 O 2.52-2.54
Nb: 0.0000 0.0000 0.0000  6 O 2.00-2.02
Nb: 0.5000 0.5000 0.0000  6 O 2.00-2.02
Cu: 0.1794 0.1794 0.0000  4 O 2.01
Cu: 0.3206 0.3206 0.0000  4 O 2.01
Cu: 0.6794 0.6794 0.0000  4 O 2.01
Cu: 0.8206 0.8206 0.0000  4 O 2.01
O: 0.0617 0.0649 0.5000  2 Cu 2.01
O: 0.0649 0.5649 0.0032  2 Cu 2.01
O: 0.0816 0.0816 0.0000  1 Nb 2.00
O: 0.2094 0.7094 0.9188  2 Nb 2.02
O: 0.2906 0.2094 0.5000  2 Nb 2.02
O: 0.4184 0.4184 0.0000  1 Nb 2.00
O: 0.4351 0.4383 0.5000  2 Cu 2.01
O: 0.4383 0.9383 0.0032  2 Cu 2.01
O: 0.5617 0.0617 0.9968  2 Cu 2.01
O: 0.5649 0.5617 0.5000  2 Cu 2.01
O: 0.5816 0.5816 0.0000  1 Nb 2.00
O: 0.7094 0.7906 0.5000  2 Nb 2.02
O: 0.7906 0.2906 0.0812  2 Nb 2.02
O: 0.9184 0.9184 0.0000  1 Nb 2.00
O: 0.9351 0.4351 0.9968  2 Cu 2.01
O: 0.9383 0.9351 0.5000  2 Cu 2.01


3.
VASP calculation (GGA-PBE) on a relaxed Ba4Nd2Cu2O9 crystal.

Calculated values
space group: P-4n2 (118)
total magnetic moment: 0.017 μB per formula unit
crystal system: tetragonal
ΔE_f: -4454 kJ/mol of formula units

Cell lengths 12.1135, 12.1135, 3.9182 Å; angles 90.00, 90.00, 90.00 degrees
With the nearest neighbours (Å) after each atom.
Positions (direct):
Ba: 0.1135 0.1716 0.2388  7 O 2.66-2.97
Ba: 0.1716 0.8865 0.7612  7 O 2.66-2.97
Ba: 0.3284 0.3865 0.2612  7 O 2.66-2.97
Ba: 0.3865 0.6716 0.7388  7 O 2.66-2.97
Ba: 0.6135 0.3284 0.7388  7 O 2.66-2.97
Ba: 0.6716 0.6135 0.2612  7 O 2.66-2.97
Ba: 0.8284 0.1135 0.7612  7 O 2.66-2.97
Ba: 0.8865 0.8284 0.2388  7 O 2.66-2.97
Nd: 0.1102 0.6102 0.2500  7 O 2.29-2.53
Nd: 0.3898 0.1102 0.7500  7 O 2.29-2.53
Nd: 0.6102 0.8898 0.7500  7 O 2.29-2.53
Nd: 0.8898 0.3898 0.2500  7 O 2.29-2.53
Cu: 0.0984 0.4016 0.7500  4 O 1.96-1.99
Cu: 0.4016 0.9016 0.2500  4 O 1.96-1.99
Cu: 0.5984 0.0984 0.2500  4 O 1.96-1.99
Cu: 0.9016 0.5984 0.7500  4 O 1.96-1.99
O: 0.0000 0.0000 0.0000  4 Ba 2.66
O: 0.0231 0.7092 0.7492  1 Cu 1.99
O: 0.0928 0.4072 0.2500  2 Cu 1.96
O: 0.2092 0.5231 0.7508  1 Cu 1.99
O: 0.2437 0.7437 0.2500  1 Nd 2.29
O: 0.2563 0.2437 0.7500  1 Nd 2.29
O: 0.2908 0.0231 0.2508  1 Cu 1.99
O: 0.4072 0.9072 0.7500  2 Cu 1.96
O: 0.4769 0.2092 0.2492  1 Cu 1.99
O: 0.5000 0.5000 0.5000  4 Ba 2.66
O: 0.5231 0.7908 0.2492  1 Cu 1.99
O: 0.5928 0.0928 0.7500  2 Cu 1.96
O: 0.7092 0.9769 0.2508  1 Cu 1.99
O: 0.7437 0.7563 0.7500  1 Nd 2.29
O: 0.7563 0.2563 0.2500  1 Nd 2.29
O: 0.7908 0.4769 0.7508  1 Cu 1.99
O: 0.9072 0.5928 0.2500  2 Cu 1.96
O: 0.9769 0.2908 0.7492  1 Cu 1.99